1.
## NiH9C4NO6 (r²SCAN)

Data for a geometry-optimized NiH9C4NO6 structure.

Structure (POSCAR):
```
NiH9C4NO6
1.0
8.085 0.000 0.000
0.000 11.504 0.000
0.000 0.000 8.139
Ni H C N O
4 36 16 4 24
Cartesian
0.000 0.000 0.000 Ni
0.000 5.752 0.000 Ni
4.042 0.000 4.070 Ni
4.042 5.752 4.070 Ni
0.140 2.876 0.655 H
0.715 2.876 2.778 H
0.724 8.628 2.790 H
1.196 1.984 4.242 H
1.196 3.768 4.242 H
1.216 7.783 4.163 H
1.216 9.472 4.163 H
1.674 6.191 2.349 H
1.674 11.065 2.349 H
2.368 0.439 6.418 H
2.368 5.313 6.418 H
2.826 2.031 0.093 H
2.826 3.721 0.093 H
2.847 7.736 0.172 H
2.847 9.520 0.172 H
3.318 2.876 6.860 H
3.327 8.628 6.848 H
3.903 8.628 4.725 H
4.182 2.876 3.415 H
4.758 2.876 1.291 H
4.767 8.628 1.280 H
5.238 1.984 7.967 H
5.238 3.768 7.967 H
5.259 7.783 8.046 H
5.259 9.472 8.046 H
5.717 6.191 1.721 H
5.717 11.065 1.721 H
6.411 0.439 5.791 H
6.411 5.313 5.791 H
6.869 2.031 3.976 H
6.869 3.721 3.976 H
6.889 7.736 3.897 H
6.889 9.520 3.897 H
7.360 2.876 5.349 H
7.370 8.628 5.361 H
7.945 8.628 7.484 H
0.065 8.628 0.423 C
0.702 2.876 3.864 C
1.789 6.074 5.884 C
1.789 11.181 5.884 C
2.254 0.323 1.814 C
2.254 5.429 1.814 C
3.341 8.628 7.933 C
3.977 2.876 4.493 C
4.108 8.628 3.646 C
4.744 2.876 0.206 C
5.831 6.074 6.325 C
5.831 11.181 6.325 C
6.296 0.323 2.255 C
6.296 5.429 2.255 C
7.383 8.628 4.276 C
8.020 2.876 7.716 C
0.709 8.628 3.818 N
3.334 2.876 7.888 N
4.751 8.628 0.251 N
7.376 2.876 4.321 N
0.185 7.519 1.018 O
0.185 9.737 1.018 O
0.772 6.569 6.430 O
0.772 10.686 6.430 O
1.846 0.659 0.657 O
1.846 5.093 0.657 O
2.197 6.411 4.726 O
2.197 10.845 4.726 O
3.271 0.818 2.361 O
3.271 4.934 2.361 O
3.857 1.767 5.088 O
3.857 3.985 5.088 O
4.228 7.519 3.052 O
4.228 9.737 3.052 O
4.814 6.569 5.779 O
4.814 10.686 5.779 O
5.888 0.659 3.413 O
5.888 5.093 3.413 O
6.239 6.411 7.483 O
6.239 10.845 7.483 O
7.313 0.818 1.709 O
7.313 4.934 1.709 O
7.900 1.767 7.121 O
7.900 3.985 7.121 O
```

Values from the calculation:
Its formation energy from the elements is -15.81 eV per formula unit.


2.
## MgGaRh2 (r²SCAN)

Data for a geometry-optimized MgGaRh2 structure.

Structure (POSCAR):
```
MgGaRh2
1.0
0.000 3.028 3.028
3.028 0.000 3.028
3.028 3.028 0.000
Mg Ga Rh
1 1 2
Cartesian
0.000 0.000 0.000 Mg
3.028 3.028 3.028 Ga
1.514 1.514 1.514 Rh
4.542 4.542 4.542 Rh
```

Values from the calculation:
Its formation energy from the elements is -2.92 eV per formula unit.


3.
## NbOF3 (r²SCAN)

Data for a geometry-optimized NbOF3 structure.

Structure (POSCAR):
```
NbOF3
1.0
6.165 0.000 0.000
-2.989 7.101 0.000
-2.338 -2.848 7.959
Nb O F
4 4 12
Cartesian
-0.512 -0.330 1.646 Nb
-1.726 1.086 5.012 Nb
2.564 3.167 2.947 Nb
1.351 4.583 6.313 Nb
-1.896 -0.593 5.696 O
-1.111 0.439 3.187 O
1.949 3.813 4.772 O
2.735 4.846 2.263 O
-0.299 1.160 0.348 F
-2.534 2.083 6.392 F
-1.799 2.995 3.903 F
1.358 -0.296 1.957 F
-0.226 -2.015 7.177 F
0.803 2.689 2.497 F
0.035 1.564 5.462 F
1.064 6.268 0.782 F
-0.519 4.549 6.002 F
2.638 1.257 4.056 F
3.373 2.169 1.567 F
1.137 3.093 7.611 F
```

Values from the calculation:
Its formation energy from the elements is -15.22 eV per formula unit.


4.
## NaH3CN2O (r²SCAN)

Data for a geometry-optimized NaH3CN2O structure.

Structure (POSCAR):
```
NaH3CN2O
1.0
17.470 0.000 0.000
0.000 6.419 0.000
-1.246 0.000 10.677
Na H C N O
16 48 16 32 16
Cartesian
-0.279 0.295 2.791 Na
-0.902 2.914 8.129 Na
1.411 4.304 0.261 Na
0.788 5.324 5.600 Na
6.774 1.213 5.154 Na
6.151 1.996 10.492 Na
8.369 3.541 2.708 Na
7.747 6.087 8.046 Na
8.478 0.332 2.631 Na
7.855 2.877 7.969 Na
10.073 4.423 0.184 Na
9.451 5.206 5.523 Na
15.437 1.095 5.077 Na
14.814 2.114 10.415 Na
17.126 3.505 2.548 Na
16.503 6.123 7.886 Na
0.984 1.425 7.075 H
1.607 1.785 1.737 H
1.383 0.076 9.669 H
2.006 3.134 4.331 H
2.544 0.394 3.912 H
1.921 2.815 9.250 H
3.111 0.634 0.542 H
2.489 2.576 5.880 H
3.014 0.318 7.122 H
3.636 2.891 1.783 H
3.441 1.177 9.094 H
4.064 2.032 3.755 H
3.887 4.745 7.366 H
4.509 4.883 2.028 H
3.818 3.365 8.382 H
4.441 6.264 3.044 H
4.215 0.449 5.914 H
4.837 2.761 0.575 H
4.864 4.139 4.685 H
4.241 5.489 10.023 H
5.315 3.402 6.151 H
5.938 6.226 0.813 H
5.723 4.344 8.966 H
6.346 5.284 3.628 H
9.879 1.135 7.048 H
10.502 2.075 1.710 H
10.286 0.193 9.863 H
10.909 3.017 4.525 H
11.983 0.929 0.653 H
11.361 2.280 5.992 H
11.387 3.658 10.101 H
12.010 5.970 4.763 H
11.784 0.155 7.633 H
12.406 3.054 2.295 H
11.715 1.536 8.649 H
12.338 1.674 3.310 H
12.160 4.387 6.921 H
12.783 5.241 1.583 H
12.588 3.528 8.893 H
13.211 6.100 3.555 H
13.736 3.843 4.797 H
13.113 5.785 10.135 H
14.303 3.604 1.427 H
13.680 6.025 6.765 H
14.218 3.285 6.346 H
14.841 6.343 1.008 H
14.617 4.634 8.940 H
15.240 4.994 3.601 H
-0.023 1.168 10.633 C
0.600 2.041 5.294 C
2.094 4.488 8.323 C
2.717 5.141 2.985 C
4.763 1.254 7.705 C
5.385 1.955 2.367 C
6.698 4.649 5.398 C
7.321 4.979 0.060 C
8.903 1.440 10.616 C
9.526 1.769 5.278 C
10.839 4.464 8.310 C
11.462 5.165 2.972 C
13.508 1.278 7.692 C
14.131 1.931 2.354 C
15.624 4.378 5.382 C
16.247 5.251 0.044 C
0.277 1.315 6.350 N
0.900 1.895 1.011 N
1.105 0.340 10.614 N
1.728 2.870 5.276 N
1.353 3.620 8.985 N
1.976 6.008 3.647 N
3.466 4.300 8.172 N
4.089 5.329 2.834 N
3.825 0.834 6.765 N
4.448 2.376 1.427 N
4.406 1.478 8.958 N
5.029 1.732 3.620 N
5.388 4.217 5.551 N
6.011 5.411 0.212 N
6.492 4.364 9.636 N
7.115 5.265 4.298 N
9.109 1.154 6.379 N
9.732 2.055 1.041 N
10.214 1.008 10.464 N
10.837 2.201 5.126 N
11.195 4.687 7.057 N
11.818 4.941 1.718 N
11.776 4.043 9.250 N
12.399 5.585 3.911 N
12.136 1.090 7.842 N
12.758 2.119 2.504 N
14.249 0.410 7.030 N
14.871 2.799 1.692 N
14.497 3.549 5.401 N
15.119 6.079 0.063 N
15.325 4.524 9.665 N
15.947 5.104 4.327 N
-0.745 1.151 9.576 O
-0.122 2.058 4.237 O
2.234 4.048 2.497 O
1.611 5.580 7.836 O
5.957 1.491 7.277 O
6.580 1.719 1.938 O
7.473 4.469 6.408 O
8.096 5.160 1.070 O
8.129 1.259 9.607 O
8.752 1.950 4.269 O
9.645 4.700 8.738 O
10.268 4.928 3.400 O
14.613 0.839 2.841 O
13.990 2.371 8.179 O
16.347 4.361 6.439 O
16.970 5.268 1.101 O
```

Values from the calculation:
Its formation energy from the elements is -5.57 eV per formula unit.